{
  "formula": "Zn3Ni20B6",
  "functional": "PBE-GGA",
  "state": "relaxed",
  "final_energy_ev_per_fu": -167.64,
  "ef_mev_per_atom": -282,
  "lattice_angstrom": [[-3.096, -5.045, 4.472], [1.463, 0.094, 7.272], [-5.260, 2.043, 4.816]],
  "species": ["Zn", "Zn", "Zn", "Ni", "Ni", "Ni", "Ni", "Ni", "Ni", "Ni", "Ni", "Ni", "Ni", "Ni", "Ni", "Ni", "Ni", "Ni", "Ni", "Ni", "Ni", "Ni", "Ni", "B", "B", "B", "B", "B", "B"],
  "frac_coords": [[0.250, 0.250, 0.250], [0.750, 0.750, 0.750], [0.000, 0.000, 0.000], [0.000, 0.000, 0.662], [0.383, 0.850, 0.383], [0.662, 0.338, 0.000], [0.000, 0.338, 0.662], [0.662, 0.000, 0.000], [0.000, 0.000, 0.338], [0.662, 0.000, 0.338], [0.000, 0.338, 0.000], [0.000, 0.662, 0.338], [0.338, 0.000, 0.000], [0.000, 0.662, 0.000], [0.338, 0.000, 0.662], [0.383, 0.383, 0.383], [0.338, 0.662, 0.000], [0.617, 0.150, 0.617], [0.383, 0.383, 0.850], [0.850, 0.383, 0.383], [0.617, 0.617, 0.617], [0.150, 0.617, 0.617], [0.617, 0.617, 0.150], [0.725, 0.725, 0.275], [0.725, 0.275, 0.725], [0.275, 0.725, 0.275], [0.725, 0.275, 0.275], [0.275, 0.725, 0.725], [0.275, 0.275, 0.725]]
}

{
  "formula": "Zr3Ni20B6",
  "functional": "PBE-GGA",
  "state": "relaxed",
  "final_energy_ev_per_fu": -194.37,
  "ef_mev_per_atom": -450,
  "lattice_angstrom": [[0.000, 5.344, 5.344], [5.344, 0.000, 5.344], [5.344, 5.344, 0.000]],
  "species": ["Zr", "Zr", "Zr", "Ni", "Ni", "Ni", "Ni", "Ni", "Ni", "Ni", "Ni", "Ni", "Ni", "Ni", "Ni", "Ni", "Ni", "Ni", "Ni", "Ni", "Ni", "Ni", "Ni", "B", "B", "B", "B", "B", "B"],
  "frac_coords": [[0.000, 0.000, 0.000], [0.750, 0.750, 0.750], [0.250, 0.250, 0.250], [0.614, 0.614, 0.159], [0.614, 0.159, 0.614], [0.159, 0.614, 0.614], [0.614, 0.614, 0.614], [0.386, 0.386, 0.841], [0.386, 0.841, 0.386], [0.841, 0.386, 0.386], [0.386, 0.386, 0.386], [0.000, 0.000, 0.345], [0.655, 0.000, 0.345], [0.000, 0.655, 0.345], [0.655, 0.345, 0.000], [0.000, 0.345, 0.000], [0.000, 0.345, 0.655], [0.345, 0.655, 0.000], [0.345, 0.000, 0.655], [0.345, 0.000, 0.000], [0.000, 0.000, 0.655], [0.000, 0.655, 0.000], [0.655, 0.000, 0.000], [0.732, 0.732, 0.268], [0.268, 0.732, 0.268], [0.732, 0.268, 0.268], [0.268, 0.268, 0.732], [0.732, 0.268, 0.732], [0.268, 0.732, 0.732]]
}

{
  "formula": "Zr2Ni21B6",
  "functional": "PBE-GGA",
  "state": "relaxed",
  "final_energy_ev_per_fu": -189.36,
  "ef_mev_per_atom": -373,
  "lattice_angstrom": [[-5.630, -1.298, 4.769], [-7.095, 0.707, -2.299], [-4.291, -6.085, -0.837]],
  "species": ["Zr", "Zr", "Ni", "Ni", "Ni", "Ni", "Ni", "Ni", "Ni", "Ni", "Ni", "Ni", "Ni", "Ni", "Ni", "Ni", "Ni", "Ni", "Ni", "Ni", "Ni", "Ni", "Ni", "B", "B", "B", "B", "B", "B"],
  "frac_coords": [[0.750, 0.750, 0.750], [0.250, 0.250, 0.250], [0.000, 0.000, 0.000], [0.614, 0.614, 0.159], [0.614, 0.159, 0.614], [0.159, 0.614, 0.614], [0.614, 0.614, 0.614], [0.386, 0.386, 0.841], [0.386, 0.841, 0.386], [0.841, 0.386, 0.386], [0.386, 0.386, 0.386], [0.000, 0.000, 0.339], [0.661, 0.000, 0.339], [0.000, 0.661, 0.339], [0.661, 0.339, 0.000], [0.000, 0.339, 0.000], [0.000, 0.339, 0.661], [0.339, 0.661, 0.000], [0.339, 0.000, 0.661], [0.339, 0.000, 0.000], [0.000, 0.000, 0.661], [0.000, 0.661, 0.000], [0.661, 0.000, 0.000], [0.730, 0.730, 0.270], [0.270, 0.730, 0.270], [0.730, 0.270, 0.270], [0.270, 0.270, 0.730], [0.730, 0.270, 0.730], [0.270, 0.730, 0.730]]
}

{
  "formula": "NpB4",
  "functional": "PBE-GGA",
  "state": "relaxed",
  "final_energy_ev_per_fu": -41.76,
  "ef_mev_per_atom": -419,
  "lattice_angstrom": [[-0.001, -4.561, 5.395], [6.055, 2.779, 2.351], [-2.056, 2.612, 2.208]],
  "species": ["Np", "Np", "Np", "Np", "B", "B", "B", "B", "B", "B", "B", "B", "B", "B", "B", "B", "B", "B", "B", "B"],
  "frac_coords": [[0.812, 0.312, 0.000], [0.188, 0.688, 0.000], [0.312, 0.188, 0.000], [0.688, 0.812, 0.000], [0.500, 0.500, 0.799], [0.000, 0.000, 0.799], [0.500, 0.500, 0.201], [0.000, 0.000, 0.201], [0.413, 0.913, 0.500], [0.587, 0.087, 0.500], [0.913, 0.587, 0.500], [0.087, 0.413, 0.500], [0.678, 0.539, 0.500], [0.322, 0.461, 0.500], [0.178, 0.961, 0.500], [0.822, 0.039, 0.500], [0.461, 0.678, 0.500], [0.539, 0.322, 0.500], [0.039, 0.178, 0.500], [0.961, 0.822, 0.500]]
}

{
  "formula": "NpB6",
  "functional": "PBE-GGA",
  "state": "relaxed",
  "final_energy_ev_per_fu": -54.91,
  "ef_mev_per_atom": -269,
  "lattice_angstrom": [[-3.779, -1.223, -0.979], [1.510, -2.167, -3.124], [0.415, -3.247, 2.454]],
  "species": ["Np", "B", "B", "B", "B", "B", "B"],
  "frac_coords": [[0.000, 0.000, 0.000], [0.198, 0.500, 0.500], [0.802, 0.500, 0.500], [0.500, 0.198, 0.500], [0.500, 0.802, 0.500], [0.500, 0.500, 0.198], [0.500, 0.500, 0.802]]
}

{
  "formula": "NpB2",
  "functional": "PBE-GGA",
  "state": "relaxed",
  "final_energy_ev_per_fu": -27.53,
  "ef_mev_per_atom": -408,
  "lattice_angstrom": [[0.312, 0.938, 2.878], [2.201, -1.641, -1.312], [1.738, 3.356, -1.282]],
  "species": ["Np", "B", "B"],
  "frac_coords": [[0.000, 0.000, 0.000], [0.333, 0.667, 0.500], [0.667, 0.333, 0.500]]
}

{
  "formula": "NpB12",
  "functional": "PBE-GGA",
  "state": "relaxed",
  "final_energy_ev_per_fu": -95.88,
  "ef_mev_per_atom": -214,
  "lattice_angstrom": [[3.601, -1.062, 3.672], [3.438, 3.695, 1.452], [-0.366, 2.205, 4.752]],
  "species": ["Np", "B", "B", "B", "B", "B", "B", "B", "B", "B", "B", "B", "B"],
  "frac_coords": [[0.000, 0.000, 0.000], [0.500, 0.500, 0.839], [0.161, 0.500, 0.839], [0.500, 0.161, 0.839], [0.161, 0.839, 0.500], [0.500, 0.839, 0.500], [0.500, 0.839, 0.161], [0.839, 0.161, 0.500], [0.839, 0.500, 0.161], [0.839, 0.500, 0.500], [0.500, 0.500, 0.161], [0.500, 0.161, 0.500], [0.161, 0.500, 0.500]]
}

{
  "formula": "NpBO3",
  "functional": "PBE-GGA",
  "state": "relaxed",
  "final_energy_ev_per_fu": -43.72,
  "ef_mev_per_atom": -2262,
  "lattice_angstrom": [[3.575, 0.000, 0.000], [0.000, 3.575, 0.000], [0.000, 0.000, 3.575]],
  "species": ["Np", "B", "O", "O", "O"],
  "frac_coords": [[0.500, 0.500, 0.500], [0.000, 0.000, 0.000], [0.000, 0.000, 0.500], [0.000, 0.500, 0.000], [0.500, 0.000, 0.000]]
}

{
  "formula": "PuNpB4",
  "functional": "PBE-GGA",
  "state": "relaxed",
  "final_energy_ev_per_fu": -56.34,
  "ef_mev_per_atom": -401,
  "lattice_angstrom": [[-1.550, -2.685, 0.000], [-3.100, 0.000, 0.000], [0.000, 0.000, -8.022]],
  "species": ["Pu", "Np", "B", "B", "B", "B"],
  "frac_coords": [[0.000, 0.000, 0.500], [0.000, 0.000, 0.000], [0.667, 0.667, 0.249], [0.667, 0.667, 0.751], [0.333, 0.333, 0.249], [0.333, 0.333, 0.751]]
}

{
  "formula": "BO3",
  "functional": "PBE-GGA",
  "state": "relaxed",
  "final_energy_ev_per_fu": -23.12,
  "ef_mev_per_atom": -913,
  "lattice_angstrom": [[3.308, -5.730, 0.000], [3.308, 5.730, 0.000], [0.000, 0.000, 9.034]],
  "species": ["B", "B", "B", "B", "B", "B", "O", "O", "O", "O", "O", "O", "O", "O", "O", "O", "O", "O", "O", "O", "O", "O", "O", "O"],
  "frac_coords": [[0.543, 0.358, 0.385], [0.642, 0.185, 0.051], [0.815, 0.457, 0.718], [0.211, 0.694, 0.373], [0.306, 0.517, 0.039], [0.483, 0.789, 0.706], [0.303, 0.255, 0.379], [0.745, 0.048, 0.045], [0.952, 0.697, 0.712], [0.672, 0.598, 0.385], [0.402, 0.074, 0.051], [0.926, 0.328, 0.718], [0.649, 0.226, 0.377], [0.774, 0.423, 0.044], [0.577, 0.351, 0.711], [0.448, 0.798, 0.376], [0.202, 0.650, 0.043], [0.350, 0.552, 0.709], [0.102, 0.826, 0.371], [0.174, 0.276, 0.038], [0.724, 0.898, 0.705], [0.071, 0.455, 0.376], [0.545, 0.617, 0.042], [0.383, 0.929, 0.709]]
}

{
  "formula": "BO3",
  "functional": "PBE-GGA",
  "state": "relaxed",
  "final_energy_ev_per_fu": -23.12,
  "ef_mev_per_atom": -915,
  "lattice_angstrom": [[-4.462, -3.233, 2.818], [-0.146, -2.370, -6.180], [4.659, -2.086, 4.434]],
  "species": ["B", "B", "B", "B", "O", "O", "O", "O", "O", "O", "O", "O", "O", "O", "O", "O"],
  "frac_coords": [[0.750, 0.348, 0.077], [0.250, 0.652, 0.923], [0.242, 0.298, 0.252], [0.758, 0.702, 0.748], [0.252, 0.410, 0.793], [0.748, 0.590, 0.207], [0.243, 0.541, 0.385], [0.757, 0.459, 0.615], [0.245, 0.754, 0.159], [0.755, 0.246, 0.841], [0.247, 0.192, 0.017], [0.753, 0.808, 0.983], [0.754, 0.220, 0.184], [0.246, 0.780, 0.816], [0.245, 0.172, 0.362], [0.755, 0.828, 0.638]]
}

{
  "formula": "B36O5",
  "functional": "PBE-GGA",
  "state": "relaxed",
  "final_energy_ev_per_fu": -289.27,
  "ef_mev_per_atom": -671,
  "lattice_angstrom": [[7.411, 0.000, 0.000], [0.265, 7.406, 0.000], [3.299, 0.420, 11.106]],
  "species": ["B", "B", "B", "B", "B", "B", "B", "B", "B", "B", "B", "B", "B", "B", "B", "B", "B", "B", "B", "B", "B", "B", "B", "B", "B", "B", "B", "B", "B", "B", "B", "B", "B", "B", "B", "B", "B", "B", "B", "B", "B", "B", "B", "B", "B", "B", "B", "B", "B", "B", "B", "B", "B", "B", "B", "B", "B", "B", "B", "B", "B", "B", "B", "B", "B", "B", "B", "B", "B", "B", "B", "B", "O", "O", "O", "O", "O", "O", "O", "O", "O", "O"],
  "frac_coords": [[0.614, 0.939, 0.374], [0.669, 0.167, 0.331], [0.215, 0.165, 0.556], [0.286, 0.284, 0.286], [0.460, 0.434, 0.198], [0.540, 0.566, 0.802], [0.112, 0.435, 0.372], [0.388, 0.664, 0.221], [0.221, 0.496, 0.220], [0.461, 0.800, 0.959], [0.640, 0.931, 0.859], [0.167, 0.665, 0.331], [0.331, 0.833, 0.669], [0.279, 0.941, 0.041], [0.557, 0.165, 0.886], [0.392, 0.000, 0.886], [0.723, 0.675, 0.557], [0.275, 0.998, 0.779], [0.625, 0.302, 0.626], [0.386, 0.061, 0.626], [0.333, 0.168, 0.999], [0.796, 0.799, 0.292], [0.967, 0.941, 0.198], [0.498, 0.325, 0.333], [0.033, 0.059, 0.802], [0.204, 0.201, 0.708], [0.445, 0.442, 0.708], [0.555, 0.506, 0.555], [0.725, 0.002, 0.221], [0.893, 0.170, 0.220], [0.445, 0.494, 0.445], [0.277, 0.325, 0.443], [0.555, 0.558, 0.292], [0.502, 0.675, 0.667], [0.959, 0.298, 0.959], [0.128, 0.439, 0.866], [0.205, 0.558, 0.467], [0.375, 0.698, 0.374], [0.833, 0.335, 0.669], [0.778, 0.438, 0.041], [0.054, 0.667, 0.889], [0.888, 0.502, 0.889], [0.608, 0.000, 0.114], [0.443, 0.835, 0.114], [0.779, 0.504, 0.780], [0.122, 0.797, 0.627], [0.888, 0.565, 0.628], [0.292, 0.937, 0.533], [0.832, 0.667, 0.000], [0.360, 0.069, 0.141], [0.539, 0.200, 0.041], [0.008, 0.836, 0.332], [0.714, 0.716, 0.714], [0.927, 0.928, 0.714], [0.048, 0.998, 0.558], [0.612, 0.336, 0.779], [0.952, 0.002, 0.442], [0.785, 0.835, 0.444], [0.073, 0.072, 0.286], [0.992, 0.164, 0.668], [0.168, 0.333, 0.000], [0.708, 0.063, 0.467], [0.878, 0.203, 0.373], [0.112, 0.498, 0.111], [0.946, 0.333, 0.111], [0.222, 0.562, 0.959], [0.795, 0.442, 0.533], [0.872, 0.561, 0.134], [0.041, 0.702, 0.041], [0.107, 0.830, 0.780], [0.667, 0.832, 0.001], [0.721, 0.059, 0.959], [0.581, 0.378, 0.080], [0.419, 0.622, 0.920], [0.585, 0.123, 0.586], [0.082, 0.879, 0.080], [0.247, 0.379, 0.747], [0.918, 0.121, 0.920], [0.415, 0.877, 0.414], [0.086, 0.620, 0.585], [0.914, 0.380, 0.415], [0.753, 0.621, 0.253]]
}

{
  "formula": "BP2Pb2O9",
  "functional": "PBE-GGA",
  "state": "relaxed",
  "final_energy_ev_per_fu": -96.13,
  "ef_mev_per_atom": -2346,
  "relative_energy_mev_per_atom": 0,
  "lattice_angstrom": [[-7.113, -0.352, -4.291], [-0.473, -5.487, 1.235], [-8.598, -1.195, 14.350]],
  "species": ["B", "B", "B", "B", "P", "P", "P", "P", "P", "P", "P", "P", "Pb", "Pb", "Pb", "Pb", "Pb", "Pb", "Pb", "Pb", "O", "O", "O", "O", "O", "O", "O", "O", "O", "O", "O", "O", "O", "O", "O", "O", "O", "O", "O", "O", "O", "O", "O", "O", "O", "O", "O", "O", "O", "O", "O", "O", "O", "O", "O", "O"],
  "frac_coords": [[0.248, 0.425, 0.715], [0.748, 0.575, 0.785], [0.752, 0.575, 0.285], [0.252, 0.425, 0.215], [0.437, 0.714, 0.583], [0.937, 0.286, 0.917], [0.563, 0.286, 0.417], [0.063, 0.714, 0.083], [0.955, 0.643, 0.645], [0.455, 0.357, 0.855], [0.045, 0.357, 0.355], [0.545, 0.643, 0.145], [0.688, 0.167, 0.633], [0.188, 0.833, 0.867], [0.312, 0.833, 0.367], [0.812, 0.167, 0.133], [0.818, 0.811, 0.439], [0.318, 0.189, 0.061], [0.182, 0.189, 0.561], [0.682, 0.811, 0.939], [0.595, 0.637, 0.552], [0.095, 0.363, 0.948], [0.405, 0.363, 0.448], [0.905, 0.637, 0.052], [0.816, 0.532, 0.709], [0.316, 0.468, 0.791], [0.184, 0.468, 0.291], [0.684, 0.532, 0.209], [0.376, 0.464, 0.650], [0.876, 0.536, 0.850], [0.624, 0.536, 0.350], [0.124, 0.464, 0.150], [0.952, 0.496, 0.582], [0.452, 0.504, 0.918], [0.048, 0.504, 0.418], [0.548, 0.496, 0.082], [0.926, 0.923, 0.604], [0.426, 0.077, 0.896], [0.074, 0.077, 0.396], [0.574, 0.923, 0.104], [0.304, 0.798, 0.516], [0.804, 0.202, 0.984], [0.696, 0.202, 0.484], [0.196, 0.798, 0.016], [0.185, 0.183, 0.724], [0.685, 0.817, 0.776], [0.815, 0.817, 0.276], [0.315, 0.183, 0.224], [0.121, 0.624, 0.691], [0.621, 0.376, 0.809], [0.879, 0.376, 0.309], [0.379, 0.624, 0.191], [0.452, 0.920, 0.627], [0.952, 0.080, 0.873], [0.548, 0.080, 0.373], [0.048, 0.920, 0.127]]
}